Entry from Materials Project: a relaxed ZnAsO5 crystal (PBE).

Properties
As for the total magnetization: 3.0 μB/f.u. Its volume is 784 Å³ per cell. Its energy relative to the elements is -6.9 eV/f.u.

a = 6.5399 Å, b = 7.5083 Å, c = 16.0105 Å
α = 90.52°, β = 90.93°, γ = 93.84°
Last column: nearest neighbours and their distance in Å.
Space group P-1 (No. 2)
One atom of each set of equivalent atoms:
Zn 0.1215 0.3981 0.4307 [2 per cell]  6 O 2.02-2.19
Zn 0.1276 0.3536 0.0517 [2 per cell]  6 O 2.01-2.21
Zn 0.3741 0.1000 0.9304 [2 per cell]  6 O 2.02-2.18
Zn 0.3765 0.1481 0.5521 [2 per cell]  6 O 2.01-2.21
As 0.1201 0.8407 0.4064 [2 per cell]  4 O 1.72-1.75
As 0.1251 0.9160 0.1093 [2 per cell]  4 O 1.73-1.74
As 0.3728 0.6572 0.9065 [2 per cell]  4 O 1.73-1.75
As 0.3832 0.5866 0.6091 [2 per cell]  4 O 1.73-1.74
O 0.0233 0.2672 0.3248 [2 per cell]  1 Zn 2.03, 2 O 2.21
O 0.0349 0.9744 0.3260 [2 per cell]  1 As 1.75
O 0.0660 0.1326 0.1348 [2 per cell]  1 As 1.74
O 0.0806 0.1877 0.5241 [2 per cell]  1 As 1.74
O 0.0883 0.1836 0.9418 [2 per cell]  1 As 1.73
O 0.1605 0.5701 0.9590 [2 per cell]  1 As 1.73
O 0.1738 0.5624 0.5410 [2 per cell]  1 As 1.74
O 0.1789 0.6348 0.3647 [2 per cell]  1 As 1.75
O 0.2032 0.7834 0.1910 [2 per cell]  1 As 1.74
O 0.2196 0.4903 0.1604 [2 per cell]  1 Zn 2.07, 2 O 2.16-2.26
O 0.2936 0.0161 0.6611 [2 per cell]  1 Zn 2.08, 2 O 2.17-2.27
O 0.3094 0.8608 0.8650 [2 per cell]  1 As 1.75
O 0.3120 0.7219 0.6909 [2 per cell]  1 As 1.74
O 0.3291 0.9383 0.0411 [2 per cell]  1 As 1.74
O 0.3365 0.9298 0.4585 [2 per cell]  1 As 1.72
O 0.4077 0.3153 0.4420 [2 per cell]  1 As 1.73
O 0.4210 0.3123 0.0240 [2 per cell]  1 As 1.74
O 0.4458 0.3713 0.6345 [2 per cell]  1 As 1.74
O 0.4518 0.5188 0.8266 [2 per cell]  1 As 1.75
O 0.4620 0.2242 0.8235 [2 per cell]  1 Zn 2.03, 2 O 2.21-2.22